# 1
Material: Li8Fe7CoP12O48
Method: DFT, GGA+U
State: optimized geometry

## Properties
Crystal system: triclinic
Calculated formation energy, meV per atom: -2380.1
Total DFT energy (no corrections), eV/atom: -6.7712
ρ, Mg/m³: 2.9

Lattice parameters (Å, degrees): 8.6634 8.7927 12.2246 89.97 89.99 89.94
Positions (direct):
Li (0.0000, 0.0000, 0.0000)
Li (0.0001, 0.0555, 0.3626)
Li (0.4343, 0.5556, 0.3625)
Li (0.4347, 0.4995, 0.9998)
Li (0.5001, 0.0005, 0.8626)
Li (0.5005, 0.0553, 0.5001)
Li (0.9343, 0.4999, 0.8625)
Li (0.9352, 0.5555, 0.5004)
Fe (0.4669, 0.7367, 0.5686)
Fe (0.4679, 0.2368, 0.2937)
Fe (0.4683, 0.8182, 0.0687)
Fe (0.9666, 0.3187, 0.0686)
Fe (0.9665, 0.7366, 0.2942)
Fe (0.9680, 0.8183, 0.7942)
Fe (0.9687, 0.2362, 0.5686)
Co (0.4653, 0.3191, 0.7929)
P (0.1114, 0.3845, 0.3284)
P (0.1113, 0.6708, 0.0342)
P (0.1797, 0.5270, 0.6812)
P (0.2570, 0.0283, 0.6810)
P (0.3229, 0.1707, 0.0332)
P (0.3233, 0.8846, 0.3284)
P (0.6112, 0.3851, 0.5349)
P (0.6115, 0.6703, 0.8276)
P (0.6776, 0.5276, 0.1815)
P (0.7569, 0.0276, 0.1813)
P (0.8215, 0.1728, 0.8279)
P (0.8232, 0.8846, 0.5344)
O (0.0428, 0.2637, 0.4072)
O (0.0428, 0.7920, 0.9554)
O (0.0548, 0.5101, 0.0013)
O (0.0550, 0.5453, 0.3615)
O (0.0610, 0.3438, 0.2120)
O (0.0609, 0.7114, 0.1507)
O (0.0710, 0.4388, 0.6028)
O (0.0720, 0.6135, 0.7619)
O (0.1441, 0.1734, 0.0247)
O (0.1444, 0.8822, 0.3373)
O (0.1612, 0.1355, 0.6102)
O (0.1616, 0.9209, 0.7527)
O (0.2749, 0.6348, 0.6103)
O (0.2763, 0.4185, 0.7534)
O (0.2905, 0.3817, 0.3374)
O (0.2903, 0.6733, 0.0254)
O (0.3662, 0.1159, 0.7615)
O (0.3656, 0.9403, 0.6023)
O (0.3736, 0.2117, 0.1496)
O (0.3741, 0.8440, 0.2120)
O (0.3800, 0.0098, 0.0009)
O (0.3800, 0.0455, 0.3613)
O (0.3923, 0.2921, 0.9550)
O (0.3917, 0.7639, 0.4073)
O (0.5427, 0.7904, 0.9070)
O (0.5438, 0.2635, 0.4561)
O (0.5542, 0.5082, 0.8611)
O (0.5546, 0.5453, 0.5013)
O (0.5611, 0.3430, 0.6516)
O (0.5609, 0.7111, 0.7117)
O (0.5694, 0.4398, 0.2607)
O (0.5694, 0.6153, 0.1019)
O (0.6418, 0.1755, 0.8367)
O (0.6444, 0.8821, 0.5254)
O (0.6605, 0.1351, 0.2525)
O (0.6607, 0.9205, 0.1102)
O (0.7739, 0.4202, 0.1102)
O (0.7740, 0.6350, 0.2525)
O (0.7899, 0.3822, 0.5261)
O (0.7902, 0.6723, 0.8373)
O (0.8653, 0.1153, 0.1021)
O (0.8653, 0.9400, 0.2607)
O (0.8728, 0.2118, 0.7116)
O (0.8742, 0.8436, 0.6509)
O (0.8770, 0.0109, 0.8614)
O (0.8797, 0.0453, 0.5014)
O (0.8907, 0.2922, 0.9072)
O (0.8917, 0.7636, 0.4555)

# 2
Material: CoSb2O4
Method: DFT, GGA+U
State: optimized geometry

## Properties
Crystal system: tetragonal
Calculated formation energy, meV per atom: -1630.3
Total DFT energy (no corrections), eV/atom: -6.0264
ρ, Mg/m³: 5.4

Lattice parameters (Å, degrees): 8.5877 8.5877 6.0995 90.00 90.00 90.00
Positions (direct):
Co (0.0000, 0.5000, 0.2500)
Co (0.0000, 0.5000, 0.7500)
Co (0.5000, 0.0000, 0.2500)
Co (0.5000, 0.0000, 0.7500)
Sb (0.1662, 0.1758, 0.0000)
Sb (0.1758, 0.8338, 0.5000)
Sb (0.3242, 0.3338, 0.5000)
Sb (0.3338, 0.6758, 0.0000)
Sb (0.6662, 0.3242, 0.0000)
Sb (0.6758, 0.6662, 0.5000)
Sb (0.8242, 0.1662, 0.5000)
Sb (0.8338, 0.8242, 0.0000)
O (0.0965, 0.3613, 0.5000)
O (0.1387, 0.4035, 0.0000)
O (0.1774, 0.6774, 0.2500)
O (0.1774, 0.6774, 0.7500)
O (0.3226, 0.1774, 0.2500)
O (0.3226, 0.1774, 0.7500)
O (0.3613, 0.9035, 0.0000)
O (0.4035, 0.8613, 0.5000)
O (0.5965, 0.1387, 0.5000)
O (0.6387, 0.0965, 0.0000)
O (0.6774, 0.8226, 0.2500)
O (0.6774, 0.8226, 0.7500)
O (0.8226, 0.3226, 0.2500)
O (0.8226, 0.3226, 0.7500)
O (0.8613, 0.5965, 0.0000)
O (0.9035, 0.6387, 0.5000)

# 3
Material: Li2VSi2O6
Method: DFT, GGA+U
State: optimized geometry

## Properties
Crystal system: orthorhombic
Calculated formation energy, meV per atom: -2771.4
Offset from the most stable computed form, meV per atom: 12
Total DFT energy (no corrections), eV/atom: -7.1003
ρ, Mg/m³: 2.9

Lattice parameters (Å, degrees): 10.1469 7.1762 10.1400 90.00 90.00 90.00
Positions (direct):
Li (0.0000, 0.0028, 0.0000)
Li (0.0000, 0.7496, 0.2539)
Li (0.2174, 0.1981, 0.9514)
Li (0.2199, 0.7502, 0.0072)
Li (0.2801, 0.2498, 0.5072)
Li (0.2826, 0.8019, 0.4514)
Li (0.5000, 0.2504, 0.7539)
Li (0.5000, 0.9972, 0.5000)
Li (0.7174, 0.8019, 0.4514)
Li (0.7199, 0.2498, 0.5072)
Li (0.7801, 0.7502, 0.0072)
Li (0.7826, 0.1981, 0.9514)
V (0.0000, 0.2526, 0.7454)
V (0.0000, 0.5204, 0.5152)
V (0.0000, 0.7721, 0.7542)
V (0.5000, 0.2279, 0.2542)
V (0.5000, 0.4796, 0.0152)
V (0.5000, 0.7474, 0.2454)
Si (0.0000, 0.5127, 0.0349)
Si (0.0000, 0.9927, 0.4576)
Si (0.2221, 0.0374, 0.2408)
Si (0.2257, 0.4784, 0.2572)
Si (0.2743, 0.5216, 0.7572)
Si (0.2779, 0.9626, 0.7408)
Si (0.5000, 0.0073, 0.9576)
Si (0.5000, 0.4873, 0.5349)
Si (0.7221, 0.9626, 0.7408)
Si (0.7257, 0.5216, 0.7572)
Si (0.7743, 0.4784, 0.2572)
Si (0.7779, 0.0374, 0.2408)
O (0.0000, 0.1980, 0.5247)
O (0.0000, 0.3119, 0.9635)
O (0.0000, 0.7050, 0.9517)
O (0.0000, 0.8150, 0.5551)
O (0.1226, 0.9416, 0.3523)
O (0.1253, 0.4923, 0.7024)
O (0.1272, 0.5537, 0.1366)
O (0.1311, 0.0233, 0.7888)
O (0.1781, 0.9892, 0.0919)
O (0.1819, 0.5728, 0.3951)
O (0.2032, 0.2561, 0.2805)
O (0.2968, 0.7439, 0.7805)
O (0.3181, 0.4272, 0.8951)
O (0.3219, 0.0108, 0.5919)
O (0.3689, 0.9767, 0.2888)
O (0.3728, 0.4463, 0.6366)
O (0.3747, 0.5077, 0.2024)
O (0.3774, 0.0584, 0.8523)
O (0.5000, 0.1850, 0.0551)
O (0.5000, 0.2950, 0.4517)
O (0.5000, 0.6881, 0.4635)
O (0.5000, 0.8020, 0.0247)
O (0.6226, 0.0584, 0.8523)
O (0.6253, 0.5077, 0.2024)
O (0.6272, 0.4463, 0.6366)
O (0.6311, 0.9767, 0.2888)
O (0.6781, 0.0108, 0.5919)
O (0.6819, 0.4272, 0.8951)
O (0.7032, 0.7439, 0.7805)
O (0.7968, 0.2561, 0.2805)
O (0.8181, 0.5728, 0.3951)
O (0.8219, 0.9892, 0.0919)
O (0.8689, 0.0233, 0.7888)
O (0.8728, 0.5537, 0.1366)
O (0.8747, 0.4923, 0.7024)
O (0.8774, 0.9416, 0.3523)

# 4
Material: MnO2
Method: DFT, GGA+U
State: optimized geometry

## Properties
Crystal system: orthorhombic
Calculated formation energy, meV per atom: -1780.5
Total DFT energy (no corrections), eV/atom: -7.1191
ρ, Mg/m³: 4.4

Lattice parameters (Å, degrees): 8.6275 2.9170 10.3888 90.00 90.00 90.00
Positions (direct):
Mn (0.0555, 0.2500, 0.1147)
Mn (0.0838, 0.2500, 0.6014)
Mn (0.4162, 0.7500, 0.1014)
Mn (0.4445, 0.7500, 0.6147)
Mn (0.5555, 0.2500, 0.3853)
Mn (0.5838, 0.2500, 0.8986)
Mn (0.9162, 0.7500, 0.3986)
Mn (0.9445, 0.7500, 0.8853)
O (0.0319, 0.7500, 0.7127)
O (0.0836, 0.2500, 0.9296)
O (0.1172, 0.7500, 0.4809)
O (0.1960, 0.7500, 0.1489)
O (0.3040, 0.2500, 0.6489)
O (0.3828, 0.2500, 0.9809)
O (0.4164, 0.7500, 0.4296)
O (0.4681, 0.2500, 0.2127)
O (0.5319, 0.7500, 0.7873)
O (0.5836, 0.2500, 0.5704)
O (0.6172, 0.7500, 0.0191)
O (0.6960, 0.7500, 0.3511)
O (0.8040, 0.2500, 0.8511)
O (0.8828, 0.2500, 0.5191)
O (0.9164, 0.7500, 0.0704)
O (0.9681, 0.2500, 0.2873)

# 5
Material: TiV3O8
Method: DFT, GGA+U
State: optimized geometry

## Properties
Crystal system: monoclinic
Calculated formation energy, meV per atom: -2706.4
Offset from the most stable computed form, meV per atom: 5
Total DFT energy (no corrections), eV/atom: -8.0510
ρ, Mg/m³: 3.8

Lattice parameters (Å, degrees): 6.4287 6.4287 6.5507 105.96 105.96 34.01
Positions (direct):
Ti (0.0000, 0.0000, 0.0000)
V (0.6092, 0.6092, 0.4483)
V (0.7067, 0.7067, 0.0280)
V (0.9080, 0.9080, 0.4220)
O (0.0668, 0.0668, 0.3718)
O (0.1770, 0.1770, 0.0175)
O (0.4495, 0.4495, 0.4313)
O (0.5451, 0.5451, 0.0645)
O (0.6760, 0.6760, 0.7155)
O (0.7519, 0.7519, 0.3459)
O (0.8663, 0.8663, 0.0874)
O (0.9436, 0.9436, 0.7222)

# 6
Material: V3AgO8
Method: DFT, GGA+U
State: optimized geometry

## Properties
Crystal system: monoclinic
Calculated formation energy, meV per atom: -2074.9
Total DFT energy (no corrections), eV/atom: -6.9976
ρ, Mg/m³: 4.1

Lattice parameters (Å, degrees): 7.3674 3.6122 12.3616 90.00 106.41 90.00
Positions (direct):
V (0.1206, 0.2500, 0.4173)
V (0.2552, 0.2500, 0.6892)
V (0.3168, 0.2500, 0.9561)
V (0.6832, 0.7500, 0.0439)
V (0.7448, 0.7500, 0.3108)
V (0.8794, 0.7500, 0.5827)
Ag (0.1893, 0.7500, 0.1808)
Ag (0.8107, 0.2500, 0.8192)
O (0.0505, 0.7500, 0.4191)
O (0.1471, 0.2500, 0.8240)
O (0.1716, 0.7500, 0.6715)
O (0.1961, 0.2500, 0.0519)
O (0.2282, 0.2500, 0.3159)
O (0.3012, 0.2500, 0.5481)
O (0.3962, 0.7500, 0.9624)
O (0.4733, 0.2500, 0.7719)
O (0.5267, 0.7500, 0.2281)
O (0.6038, 0.2500, 0.0376)
O (0.6988, 0.7500, 0.4519)
O (0.7718, 0.7500, 0.6841)
O (0.8039, 0.7500, 0.9481)
O (0.8284, 0.2500, 0.3285)
O (0.8529, 0.7500, 0.1760)
O (0.9495, 0.2500, 0.5809)

# 7
Material: MgMn6O10F2
Method: DFT, GGA+U
State: optimized geometry

## Properties
Crystal system: monoclinic
Calculated formation energy, meV per atom: -2098.2
Offset from the most stable computed form, meV per atom: 33
Total DFT energy (no corrections), eV/atom: -6.9445
ρ, Mg/m³: 4.2

Lattice parameters (Å, degrees): 6.4070 2.9757 11.6531 90.00 102.87 90.00
Positions (direct):
Mg (0.0000, 0.0000, 0.0000)
Mn (0.0021, 0.5000, 0.5092)
Mn (0.1212, 0.0000, 0.7974)
Mn (0.3780, 0.5000, 0.2038)
Mn (0.4933, 0.0000, 0.4897)
Mn (0.6106, 0.5000, 0.8023)
Mn (0.8800, 0.0000, 0.2312)
O (0.0682, 0.5000, 0.6910)
O (0.1531, 0.5000, 0.9193)
O (0.1667, 0.0000, 0.1725)
O (0.2002, 0.0000, 0.5132)
O (0.4246, 0.0000, 0.8130)
O (0.4475, 0.5000, 0.3854)
O (0.5638, 0.0000, 0.1892)
O (0.8056, 0.0000, 0.5104)
O (0.8174, 0.0000, 0.8277)
O (0.9351, 0.5000, 0.3370)
F (0.5481, 0.5000, 0.6160)
F (0.8320, 0.5000, 0.0571)

# 8
Material: Li5Nb2Co3O10
Method: DFT, GGA+U
State: optimized geometry

## Properties
Crystal system: triclinic
Calculated formation energy, meV per atom: -2221.6
Total DFT energy (no corrections), eV/atom: -6.6600
ρ, Mg/m³: 4.8

Lattice parameters (Å, degrees): 5.2099 5.3063 7.8762 102.03 109.06 99.92
Positions (direct):
Li (0.0000, 0.0000, 0.0000)
Li (0.1781, 0.5021, 0.9037)
Li (0.3742, 0.4884, 0.2983)
Li (0.6258, 0.5116, 0.7017)
Li (0.8219, 0.4979, 0.0963)
Nb (0.4003, 0.0118, 0.7885)
Nb (0.5997, 0.9882, 0.2115)
Co (0.0000, 0.5000, 0.5000)
Co (0.1842, 0.0051, 0.4110)
Co (0.8158, 0.9949, 0.5890)
O (0.0230, 0.7556, 0.7478)
O (0.2105, 0.2673, 0.6646)
O (0.2241, 0.7643, 0.1581)
O (0.4048, 0.2155, 0.0430)
O (0.4082, 0.7576, 0.5609)
O (0.5918, 0.2424, 0.4391)
O (0.5952, 0.7845, 0.9570)
O (0.7759, 0.2357, 0.8419)
O (0.7895, 0.7327, 0.3354)
O (0.9770, 0.2444, 0.2522)